(1)
# Er3Ni7B2 (r2SCAN, relaxed)
# M_tot = 0.00 μB per cell
# energy of formation = -6.40 eV per formula unit
# crystal system = hexagonal
# calculated density = 10.12 g cm⁻³
data_Er3Ni7B2
_space_group_name_H-M_alt 'P 63/m m c'
_space_group_IT_number 194
_space_group_name_Hall '-P 6c 2c'
_cell_length_a 5.0066
_cell_length_b 5.0066
_cell_length_c 14.1196
_cell_angle_alpha 90.00
_cell_angle_beta 90.00
_cell_angle_gamma 120.00
loop_
_atom_site_label
_atom_site_type_symbol
_atom_site_fract_x
_atom_site_fract_y
_atom_site_fract_z
_atom_site_occupancy
Er1 Er 0.3333 0.6667 0.0323 1
Er2 Er 0.3333 0.6667 0.2500 1
Ni1 Ni 0.0000 0.0000 0.0000 1
Ni2 Ni 0.1654 0.3308 0.6484 1
B1 B 0.0000 0.0000 0.2500 1
B2 B 0.3333 0.6667 0.7500 1

***

(2)
# ErBO3 (r2SCAN, relaxed)
# M_tot = 0.00 μB per cell
# energy of formation = -17.13 eV per formula unit
# crystal system = monoclinic
# calculated density = 7.09 g cm⁻³
data_ErBO3
_space_group_name_H-M_alt 'C 1 2/c 1'
_space_group_IT_number 15
_cell_length_a 11.204
_cell_length_b 6.479
_cell_length_c 9.486
_cell_angle_alpha 90.00
_cell_angle_beta 112.77
_cell_angle_gamma 90.00
loop_
_space_group_symop_operation_xyz
'x,y,z'
'-x,-y,-z'
'-x,y,-z+1/2'
'x,-y,z+1/2'
'x+1/2,y+1/2,z'
'-x+1/2,-y+1/2,-z'
'-x+1/2,y+1/2,-z+1/2'
'x+1/2,-y+1/2,z+1/2'
loop_
_atom_site_label
_atom_site_type_symbol
_atom_site_fract_x
_atom_site_fract_y
_atom_site_fract_z
_atom_site_occupancy
Er1 Er 0.086 0.244 0.499 1
Er2 Er 0.250 0.250 0.000 1
B1 B 0.000 0.174 0.750 1
B2 B 0.121 0.461 0.247 1
O1 O 0.000 0.364 0.250 1
O2 O 0.049 0.065 0.893 1
O3 O 0.109 0.308 0.748 1
O4 O 0.126 0.407 0.101 1
O5 O 0.224 0.406 0.389 1

***

(3)
# ErB4Os (r2SCAN, relaxed)
# M_tot = 0.00 μB per cell
# energy of formation = -3.94 eV per formula unit
# crystal system = orthorhombic
# calculated density = 11.03 g cm⁻³
data_ErB4Os
_space_group_name_H-M_alt 'P b a m'
_space_group_IT_number 55
_cell_length_a 5.930
_cell_length_b 11.471
_cell_length_c 3.548
_cell_angle_alpha 90.00
_cell_angle_beta 90.00
_cell_angle_gamma 90.00
loop_
_space_group_symop_operation_xyz
'x,y,z'
'-x,-y,-z'
'-x,-y,z'
'x,y,-z'
'x+1/2,-y+1/2,-z'
'-x+1/2,y+1/2,z'
'-x+1/2,y+1/2,-z'
'x+1/2,-y+1/2,z'
loop_
_atom_site_label
_atom_site_type_symbol
_atom_site_fract_x
_atom_site_fract_y
_atom_site_fract_z
_atom_site_occupancy
Er1 Er 0.128 0.150 0.000 1
B1 B 0.025 0.692 0.500 1
B2 B 0.113 0.547 0.500 1
B3 B 0.136 0.970 0.500 1
B4 B 0.210 0.814 0.500 1
Os1 Os 0.142 0.406 0.000 1

***

(4)
# Er2B6Os (r2SCAN, relaxed)
# M_tot = 0.00 μB per cell
# energy of formation = -6.88 eV per formula unit
# crystal system = orthorhombic
# calculated density = 10.39 g cm⁻³
data_Er2B6Os
_space_group_name_H-M_alt 'P b a m'
_space_group_IT_number 55
_cell_length_a 9.082
_cell_length_b 11.448
_cell_length_c 3.625
_cell_angle_alpha 90.00
_cell_angle_beta 90.00
_cell_angle_gamma 90.00
loop_
_space_group_symop_operation_xyz
'x,y,z'
'-x,-y,-z'
'-x,-y,z'
'x,y,-z'
'x+1/2,-y+1/2,-z'
'-x+1/2,y+1/2,z'
'-x+1/2,y+1/2,-z'
'x+1/2,-y+1/2,z'
loop_
_atom_site_label
_atom_site_type_symbol
_atom_site_fract_x
_atom_site_fract_y
_atom_site_fract_z
_atom_site_occupancy
Er1 Er 0.056 0.127 0.000 1
Er2 Er 0.179 0.414 0.000 1
B1 B 0.018 0.287 0.500 1
B2 B 0.053 0.567 0.500 1
B3 B 0.109 0.970 0.500 1
B4 B 0.132 0.815 0.500 1
B5 B 0.209 0.233 0.500 1
B6 B 0.248 0.580 0.500 1
Os1 Os 0.137 0.679 0.000 1

***

Question: calculated density of number 2 (ErBO3)?
Answer: 7.09 g cm⁻³